(1)
# HgN

HgN after structural relaxation (GGA-PBE, the Materials Project).

abc: 3.6353 3.6353 6.1409
angles: 90.00 90.00 120.00
With the nearest neighbours (Å) after each atom.
Positions (direct):
Hg  0.6667  0.3333  0.5083  4 N 2.20-2.27
Hg  0.3333  0.6667  0.0083  4 N 2.20-2.27
N  0.3333  0.6667  0.3667  4 Hg 2.20-2.27
N  0.6667  0.3333  0.8667  4 Hg 2.20-2.27

Output
calculated volume: 70 Å³ per cell
total magnetization: 0.02 μB/f.u.
E: -5.45 eV per formula unit
symmetry: P6_3mc, No. 186


(2)
# Na2HgP6N2O18

Na2HgP6N2O18 after structural relaxation (GGA-PBE, the Materials Project).

abc: 7.9088 7.9088 15.1039
angles: 88.20 88.20 62.63
With the nearest neighbours (Å) after each atom.
Positions (direct):
O  0.8147  0.9216  0.0340  1 P 1.51
P  0.7812  0.4088  0.8708  4 O 1.50-1.63
P  0.3573  0.1008  0.2547  4 O 1.49-1.64
O  0.8658  0.6683  0.3427  1 P 1.49
Hg  0.6403  0.3597  0.2500  6 O 2.27-2.49
O  0.0784  0.1853  0.4660  1 P 1.51
O  0.8820  0.1767  0.8738  2 P 1.63
O  0.5576  0.1257  0.7214  2 P 1.63
N  0.5330  0.7805  0.0365  5 O 2.85-3.12
O  0.3317  0.1342  0.1573  1 P 1.49
Na  0.9672  0.6969  0.9217  6 O 2.36-2.52
O  0.1492  0.8427  0.6432  1 P 1.51
P  0.6427  0.8992  0.7453  4 O 1.49-1.64
O  0.5236  0.1557  0.5507  1 P 1.50
O  0.1180  0.8233  0.1262  2 P 1.63
P  0.2188  0.5912  0.1292  4 O 1.50-1.63
O  0.9216  0.8147  0.5340  1 P 1.51
N  0.4670  0.2195  0.9635  5 O 2.85-3.12
P  0.1008  0.3573  0.7547  4 O 1.49-1.64
P  0.0519  0.1119  0.3794  4 O 1.51-1.63
O  0.1767  0.8820  0.3738  2 P 1.63
O  0.1853  0.0784  0.9660  1 P 1.51
O  0.5172  0.4288  0.6413  1 P 1.50
O  0.8247  0.5282  0.1957  1 P 1.51
Na  0.0328  0.3031  0.0783  6 O 2.36-2.52
O  0.1573  0.8508  0.8568  1 P 1.51
O  0.5282  0.8247  0.6957  1 P 1.51
O  0.8233  0.1180  0.6262  2 P 1.63
O  0.8562  0.8144  0.7001  2 P 1.61-1.64
O  0.1557  0.5236  0.0507  1 P 1.50
O  0.5712  0.4828  0.8587  1 P 1.50
P  0.4088  0.7812  0.3708  4 O 1.50-1.63
Hg  0.3597  0.6403  0.7500  6 O 2.27-2.49
P  0.8992  0.6427  0.2453  4 O 1.49-1.64
Na  0.6969  0.9672  0.4217  6 O 2.36-2.52
O  0.4828  0.5712  0.3587  1 P 1.50
O  0.4764  0.8443  0.4493  1 P 1.50
Na  0.3031  0.0328  0.5783  6 O 2.36-2.52
O  0.1856  0.1438  0.7999  2 P 1.61-1.64
O  0.8427  0.1492  0.1432  1 P 1.51
O  0.1753  0.4718  0.8043  1 P 1.51
O  0.1257  0.5576  0.2214  2 P 1.63
N  0.2195  0.4670  0.4635  5 O 2.85-3.12
P  0.5912  0.2188  0.6292  4 O 1.50-1.63
O  0.1342  0.3317  0.6573  1 P 1.49
O  0.4718  0.1753  0.3043  1 P 1.51
O  0.6683  0.8658  0.8427  1 P 1.49
O  0.8508  0.1573  0.3568  1 P 1.51
P  0.9481  0.8881  0.6206  4 O 1.51-1.63
O  0.8144  0.8562  0.2001  2 P 1.61-1.64
O  0.1438  0.1856  0.2999  2 P 1.61-1.64
N  0.7805  0.5330  0.5365  5 O 2.85-3.12
P  0.8881  0.9481  0.1206  4 O 1.51-1.63
O  0.8443  0.4764  0.9493  1 P 1.50
O  0.8743  0.4424  0.7786  2 P 1.63
O  0.4424  0.8743  0.2786  2 P 1.63
P  0.1119  0.0519  0.8794  4 O 1.51-1.63
O  0.4288  0.5172  0.1413  1 P 1.50

Output
calculated volume: 838 Å³ per cell
total magnetization: 4.00 μB/f.u.
E: -180.61 eV per formula unit
symmetry: C2/c, No. 15


(3)
# HgSeNO3

HgSeNO3 after structural relaxation (GGA-PBE, the Materials Project).

abc: 5.3112 6.6719 14.9643
angles: 69.00 90.00 90.00
With the nearest neighbours (Å) after each atom.
Positions (direct):
O  0.0162  0.1405  0.3478  1 Se 1.75
Hg  0.9460  0.3616  0.2018  2 O 2.17-2.19, 1 N 2.33
O  0.4076  0.4623  0.1720  1 Se 1.73
O  0.5162  0.8595  0.1522  1 Se 1.75
O  0.3229  0.3766  0.4250  1 Se 1.74
O  0.6771  0.6234  0.5750  1 Se 1.74
Se  0.9893  0.6947  0.5837  3 O 1.73-1.75
O  0.9838  0.8595  0.6522  1 Se 1.75
Hg  0.4460  0.6384  0.2982  2 O 2.17-2.19, 1 N 2.33
O  0.9076  0.5377  0.3280  1 Se 1.73
Hg  0.5540  0.3616  0.7018  2 O 2.17-2.19, 1 N 2.33
Se  0.5107  0.6947  0.0837  3 O 1.73-1.75
O  0.5924  0.5377  0.8280  1 Se 1.73
Se  0.0107  0.3053  0.4163  3 O 1.73-1.75
O  0.4838  0.1405  0.8478  1 Se 1.75
O  0.0924  0.4623  0.6720  1 Se 1.73
N  0.0146  0.8826  0.8762  1 Hg 2.33
N  0.4854  0.8826  0.3762  1 Hg 2.33
N  0.9854  0.1174  0.1238  1 Hg 2.33
Hg  0.0540  0.6384  0.7982  2 O 2.17-2.19, 1 N 2.33
Se  0.4893  0.3053  0.9163  3 O 1.73-1.75
N  0.5146  0.1174  0.6238  1 Hg 2.33
O  0.8229  0.6234  0.0750  1 Se 1.74
O  0.1771  0.3766  0.9250  1 Se 1.74

Output
calculated volume: 495 Å³ per cell
total magnetization: 3.00 μB/f.u.
E: -24.82 eV per formula unit
symmetry: P2_1/c, No. 14


(4)
# HgSN3

HgSN3 after structural relaxation (GGA-PBE, the Materials Project).

abc: 5.6121 10.3039 15.4194
angles: 90.00 90.00 90.00
With the nearest neighbours (Å) after each atom.
Positions (direct):
Hg  0.4500  0.8764  0.5501  2 N 2.12-2.13
Hg  0.4500  0.6236  0.0501  2 N 2.12-2.13
N  0.3195  0.1608  0.9564  1 S 1.55
N  0.8195  0.1608  0.5436  1 S 1.55
N  0.1759  0.7196  0.1745  1 Hg 2.65
Hg  0.5500  0.1236  0.4499  2 N 2.12-2.13
Hg  0.5500  0.3764  0.9499  2 N 2.12-2.13
S  0.1567  0.9280  0.3756  2 N 1.53-1.55
N  0.6805  0.8392  0.0436  1 S 1.55
N  0.8241  0.2804  0.8255  1 Hg 2.65
S  0.8433  0.0720  0.6244  2 N 1.53-1.55
S  0.3433  0.0720  0.8756  2 N 1.53-1.55
S  0.3433  0.4280  0.3756  2 N 1.53-1.55
N  0.8241  0.2196  0.3255  1 Hg 2.65
N  0.6759  0.7196  0.3255  1 Hg 2.65
N  0.3027  0.0505  0.3585  1 S 1.53
N  0.3241  0.2804  0.6745  1 Hg 2.65
S  0.8433  0.4280  0.1244  2 N 1.53-1.55
S  0.1567  0.5720  0.8756  2 N 1.53-1.55
N  0.1759  0.7804  0.6745  1 Hg 2.65
Hg  0.0500  0.1236  0.0501  2 N 2.12-2.13
Hg  0.9500  0.8764  0.9499  2 N 2.12-2.13
N  0.8027  0.0505  0.1415  1 S 1.53
N  0.1973  0.5505  0.3585  1 S 1.53
S  0.6567  0.5720  0.6244  2 N 1.53-1.55
N  0.3195  0.3392  0.4564  1 S 1.55
N  0.3027  0.4495  0.8585  1 S 1.53
N  0.8027  0.4495  0.6415  1 S 1.53
N  0.1805  0.8392  0.4564  1 S 1.55
N  0.6805  0.6608  0.5436  1 S 1.55
N  0.1805  0.6608  0.9564  1 S 1.55
Hg  0.0500  0.3764  0.5501  2 N 2.12-2.13
N  0.1973  0.9495  0.8585  1 S 1.53
N  0.6973  0.9495  0.6415  1 S 1.53
N  0.6759  0.7804  0.8255  1 Hg 2.65
Hg  0.9500  0.6236  0.4499  2 N 2.12-2.13
N  0.8195  0.3392  0.0436  1 S 1.55
N  0.3241  0.2196  0.1745  1 Hg 2.65
S  0.6567  0.9280  0.1244  2 N 1.53-1.55
N  0.6973  0.5505  0.1415  1 S 1.53

Output
calculated volume: 892 Å³ per cell
total magnetization: 3.00 μB/f.u.
E: -21.57 eV per formula unit
symmetry: Pbca, No. 61


(5)
# Ti16Hg4N5

Ti16Hg4N5 after structural relaxation (GGA-PBE, the Materials Project).

abc: 3.9727 3.9727 32.1401
angles: 90.00 90.00 90.00
With the nearest neighbours (Å) after each atom.
Positions (direct):
Hg  0.5000  0.5000  0.7206  8 Ti 3.00-3.01
Ti  0.0000  0.5000  0.6503  6 Ti 2.56-2.81, 2 N 2.56
N  0.0000  0.0000  0.7968  4 Ti 2.00
Ti  0.5000  0.5000  0.0261  1 Ti 2.37
Hg  0.5000  0.5000  0.9393  2 Ti 2.79-2.83
Ti  0.5000  0.5000  0.1000  4 Ti 1.99
Hg  0.5000  0.5000  0.4794  8 Ti 3.00-3.01
Hg  0.5000  0.5000  0.2607  2 Ti 2.79-2.83
Ti  0.5000  0.0000  0.1000  2 Ti 1.99
Ti  0.5000  0.5000  0.8513  4 Ti 2.79, 1 Hg 2.83
Ti  0.0000  0.5000  0.4096  2 N 2.00
N  0.0000  0.0000  0.4032  4 Ti 2.00
Ti  0.0000  0.5000  0.5497  6 Ti 2.56-2.81, 2 N 2.56
N  0.0000  0.0000  0.1429  4 Ti 2.42
Ti  0.5000  0.0000  0.4096  2 N 2.00
Ti  0.5000  0.5000  0.3487  4 Ti 2.79, 1 Hg 2.83
Ti  0.5000  0.5000  0.1739  1 Ti 2.37
Ti  0.5000  0.0000  0.5497  6 Ti 2.56-2.81, 2 N 2.56
N  0.0000  0.0000  0.6000  12 Ti 2.56-2.81
Ti  0.5000  0.0000  0.6503  6 Ti 2.56-2.81, 2 N 2.56
Ti  0.5000  0.0000  0.7904  2 N 2.00
Ti  0.0000  0.5000  0.7904  2 N 2.00
Ti  0.5000  0.5000  0.6000  8 Ti 2.56, 4 N 2.81
Ti  0.0000  0.5000  0.1000  2 Ti 1.99
N  0.0000  0.0000  0.0571  4 Ti 2.42

Output
calculated volume: 507 Å³ per cell
total magnetization: 6.59 μB/f.u.
E: -154.13 eV per formula unit
symmetry: P4/mmm, No. 123


(6)
# NaHg

NaHg after structural relaxation (GGA-PBE, the Materials Project).

abc: 6.5455 6.5455 5.3961
angles: 90.00 90.00 112.21
With the nearest neighbours (Å) after each atom.
Positions (direct):
Na  0.8263  0.1737  0.7500  8 Hg 3.23-3.29, 2 Na 3.47
Hg  0.8810  0.6935  0.7500  3 Hg 3.11-3.38, 8 Na 3.18-3.44
Hg  0.6935  0.8810  0.2500  3 Hg 3.11-3.38, 8 Na 3.18-3.44
Na  0.6261  0.3739  0.2500  8 Hg 3.18-3.44, 2 Na 3.47
Na  0.1737  0.8263  0.2500  8 Hg 3.23-3.29, 2 Na 3.47
Hg  0.1190  0.3065  0.2500  3 Hg 3.11-3.38, 8 Na 3.18-3.44
Hg  0.3065  0.1190  0.7500  3 Hg 3.11-3.38, 8 Na 3.18-3.44
Na  0.3739  0.6261  0.7500  8 Hg 3.18-3.44, 2 Na 3.47

Output
calculated volume: 214 Å³ per cell
E: -2.12 eV per formula unit
symmetry: Cmcm, No. 63


(7)
# Na8Hg3

Na8Hg3 after structural relaxation (GGA-PBE, the Materials Project).

abc: 18.3473 18.3473 18.3473
angles: 29.34 29.34 29.34
With the nearest neighbours (Å) after each atom.
Positions (direct):
Na  0.3794  0.1339  0.6433  3 Hg 3.25-3.35, 5 Na 3.48-3.56
Na  0.6206  0.8661  0.3567  3 Hg 3.25-3.35, 5 Na 3.48-3.56
Na  0.7903  0.1416  0.5136  4 Hg 3.17-3.44, 3 Na 3.45-3.49
Na  0.7803  0.7803  0.7803  7 Na 3.19-3.56, 4 Hg 3.25-3.34
Na  0.9864  0.3584  0.7097  4 Hg 3.17-3.44, 3 Na 3.45-3.49
Na  0.2903  0.0136  0.6416  4 Hg 3.17-3.44, 3 Na 3.45-3.49
Hg  0.4346  0.7500  0.0654  10 Na 3.25-3.44
Na  0.3584  0.7097  0.9864  4 Hg 3.17-3.44, 3 Na 3.45-3.49
Hg  0.0000  0.0000  0.0000  8 Na 3.17-3.23
Hg  0.5000  0.5000  0.5000  8 Na 3.17-3.23
Na  0.2197  0.2197  0.2197  7 Na 3.19-3.56, 4 Hg 3.25-3.34
Na  0.0136  0.6416  0.2903  4 Hg 3.17-3.44, 3 Na 3.45-3.49
Hg  0.9346  0.5654  0.2500  10 Na 3.25-3.44
Na  0.8794  0.1433  0.6339  3 Hg 3.25-3.35, 5 Na 3.48-3.56
Hg  0.5654  0.2500  0.9346  10 Na 3.25-3.44
Na  0.2097  0.8584  0.4864  4 Hg 3.17-3.44, 3 Na 3.45-3.49
Na  0.5614  0.5614  0.5614  4 Hg 3.23-3.39, 3 Na 3.52
Hg  0.6581  0.6581  0.6581  10 Na 3.25-3.40
Na  0.6339  0.8794  0.1433  3 Hg 3.25-3.35, 5 Na 3.48-3.56
Na  0.5136  0.7903  0.1416  4 Hg 3.17-3.44, 3 Na 3.45-3.49
Na  0.0614  0.0614  0.0614  4 Hg 3.23-3.39, 3 Na 3.52
Na  0.2803  0.2803  0.2803  7 Na 3.19-3.56, 4 Hg 3.25-3.34
Na  0.1339  0.6433  0.3794  3 Hg 3.25-3.35, 5 Na 3.48-3.56
Hg  0.3419  0.3419  0.3419  10 Na 3.25-3.40
Hg  0.2500  0.9346  0.5654  10 Na 3.25-3.44
Na  0.9386  0.9386  0.9386  4 Hg 3.23-3.39, 3 Na 3.52
Hg  0.1581  0.1581  0.1581  10 Na 3.25-3.40
Na  0.6433  0.3794  0.1339  3 Hg 3.25-3.35, 5 Na 3.48-3.56
Na  0.8584  0.4864  0.2097  4 Hg 3.17-3.44, 3 Na 3.45-3.49
Na  0.3567  0.6206  0.8661  3 Hg 3.25-3.35, 5 Na 3.48-3.56
Hg  0.0654  0.4346  0.7500  10 Na 3.25-3.44
Hg  0.7500  0.0654  0.4346  10 Na 3.25-3.44
Na  0.4864  0.2097  0.8584  4 Hg 3.17-3.44, 3 Na 3.45-3.49
Hg  0.8419  0.8419  0.8419  10 Na 3.25-3.40
Na  0.1206  0.8567  0.3661  3 Hg 3.25-3.35, 5 Na 3.48-3.56
Na  0.4386  0.4386  0.4386  4 Hg 3.23-3.39, 3 Na 3.52
Na  0.6416  0.2903  0.0136  4 Hg 3.17-3.44, 3 Na 3.45-3.49
Na  0.7097  0.9864  0.3584  4 Hg 3.17-3.44, 3 Na 3.45-3.49
Na  0.3661  0.1206  0.8567  3 Hg 3.25-3.35, 5 Na 3.48-3.56
Na  0.7197  0.7197  0.7197  7 Na 3.19-3.56, 4 Hg 3.25-3.34
Na  0.8661  0.3567  0.6206  3 Hg 3.25-3.35, 5 Na 3.48-3.56
Na  0.8567  0.3661  0.1206  3 Hg 3.25-3.35, 5 Na 3.48-3.56
Na  0.1416  0.5136  0.7903  4 Hg 3.17-3.44, 3 Na 3.45-3.49
Na  0.1433  0.6339  0.8794  3 Hg 3.25-3.35, 5 Na 3.48-3.56

Output
calculated volume: 1312 Å³ per cell
E: -13.31 eV per formula unit
symmetry: R-3c, No. 167


(8)
# NaNdHg2

NaNdHg2 after structural relaxation (GGA-PBE, the Materials Project).

abc: 5.2944 5.2944 5.2944
angles: 60.00 60.00 60.00
With the nearest neighbours (Å) after each atom.
Positions (direct):
Nd  0.0000  0.0000  0.0000  8 Hg 3.24
Hg  0.2500  0.2500  0.2500  4 Na 3.24, 4 Nd 3.24
Na  0.5000  0.5000  0.5000  8 Hg 3.24
Hg  0.7500  0.7500  0.7500  4 Na 3.24, 4 Nd 3.24

Output
calculated volume: 105 Å³ per cell
E: -8.20 eV per formula unit
symmetry: Fm-3m, No. 225